## w
A plane-wave DFT calculation with PBE with a Hubbard U was carried out for a geometry-optimized Li2VCrP2H2O10 structure.

Lattice parameters (Å, degrees): 5.1659 7.3884 15.1587 94.11 92.08 108.93
Element x y z (fractional)
Li1 0.0521 0.4754 0.2990
Li2 0.2819 0.8575 0.0340
Li3 0.3854 0.8101 0.6326
Li4 0.6146 0.1899 0.3674
Li5 0.7181 0.1425 0.9660
Li6 0.9479 0.5246 0.7010
V1 0.0000 0.5000 0.5000
V2 0.3329 0.3329 0.8336
V3 0.6671 0.6671 0.1664
Cr1 0.0000 0.0000 0.5000
Cr2 0.3336 0.8334 0.8332
Cr3 0.6664 0.1666 0.1668
P1 0.1104 0.0550 0.2867
P2 0.2228 0.2782 0.0473
P3 0.4418 0.3866 0.6202
P4 0.5582 0.6134 0.3798
P5 0.7772 0.7218 0.9527
P6 0.8896 0.9450 0.7133
H1 0.0061 0.4843 0.1469
H2 0.3271 0.8491 0.1865
H3 0.3404 0.8220 0.4804
H4 0.6596 0.1780 0.5196
H5 0.6729 0.1509 0.8135
H6 0.9939 0.5157 0.8531
O1 0.0088 0.8547 0.2351
O2 0.0488 0.8462 0.9167
O3 0.1072 0.8401 0.7203
O4 0.1439 0.2901 0.9485
O5 0.1550 0.5436 0.8166
O6 0.1763 0.7933 0.5157
O7 0.1908 0.0453 0.3855
O8 0.2258 0.4928 0.6133
O9 0.2869 0.4885 0.4156
O10 0.3243 0.4789 0.0985
O11 0.3406 0.1867 0.5678
O12 0.3819 0.1792 0.2504
O13 0.4402 0.1734 0.0540
O14 0.4781 0.6251 0.2814
O15 0.4881 0.8771 0.1499
O16 0.5119 0.1229 0.8501
O17 0.5219 0.3749 0.7186
O18 0.5598 0.8266 0.9460
O19 0.6181 0.8208 0.7496
O20 0.6594 0.8133 0.4322
O21 0.6757 0.5211 0.9015
O22 0.7131 0.5115 0.5844
O23 0.7742 0.5072 0.3867
O24 0.8092 0.9547 0.6145
O25 0.8237 0.2067 0.4843
O26 0.8450 0.4564 0.1834
O27 0.8561 0.7099 0.0515
O28 0.8928 0.1599 0.2797
O29 0.9512 0.1538 0.0833
O30 0.9912 0.1453 0.7649

Output
- Crystal system: triclinic

## x
A plane-wave DFT calculation with PBE with a Hubbard U was carried out for a geometry-optimized Li2VCrP2H2O10 structure.

Lattice parameters (Å, degrees): 5.4200 7.3740 14.3088 93.39 95.19 106.29
Element x y z (fractional)
Li1 0.0178 0.0934 0.4156
Li2 0.3160 0.2409 0.9175
Li3 0.3511 0.4257 0.7490
Li4 0.6489 0.5743 0.2510
Li5 0.6840 0.7591 0.0825
Li6 0.9822 0.9066 0.5844
V1 0.1672 0.1670 0.1665
V2 0.5000 0.0000 0.5000
V3 0.8328 0.8330 0.8335
Cr1 0.1662 0.6666 0.1667
Cr2 0.5000 0.5000 0.5000
Cr3 0.8338 0.3334 0.8333
P1 0.0308 0.6588 0.3922
P2 0.3003 0.6726 0.9417
P3 0.3653 0.9939 0.7259
P4 0.6347 0.0061 0.2741
P5 0.6997 0.3274 0.0583
P6 0.9692 0.3412 0.6078
H1 0.1060 0.8843 0.0471
H2 0.2278 0.4494 0.2864
H3 0.4388 0.2212 0.3800
H4 0.5612 0.7788 0.6200
H5 0.7722 0.5506 0.7136
H6 0.8940 0.1157 0.9529
O1 0.0375 0.7169 0.2898
O2 0.0617 0.8861 0.1127
O3 0.0777 0.8898 0.7317
O4 0.1220 0.8424 0.4621
O5 0.1264 0.8049 0.9247
O6 0.2050 0.5275 0.4092
O7 0.2096 0.4907 0.8712
O8 0.2585 0.4430 0.6019
O9 0.2716 0.4475 0.2207
O10 0.2934 0.6149 0.0440
O11 0.3707 0.0508 0.6236
O12 0.3989 0.2238 0.4462
O13 0.4120 0.2237 0.0643
O14 0.4573 0.1758 0.7962
O15 0.4602 0.1384 0.2578
O16 0.5398 0.8616 0.7422
O17 0.5427 0.8242 0.2038
O18 0.5880 0.7763 0.9357
O19 0.6011 0.7762 0.5538
O20 0.6293 0.9492 0.3764
O21 0.7066 0.3851 0.9560
O22 0.7284 0.5525 0.7793
O23 0.7415 0.5570 0.3981
O24 0.7904 0.5093 0.1288
O25 0.7950 0.4725 0.5908
O26 0.8736 0.1951 0.0753
O27 0.8780 0.1576 0.5379
O28 0.9223 0.1102 0.2683
O29 0.9383 0.1139 0.8873
O30 0.9625 0.2831 0.7102

Output
- Crystal system: triclinic

The most stable of them is w.

## w
A plane-wave DFT calculation with PBE with a Hubbard U was carried out for a geometry-optimized Li2VCrP2H2O10 structure.

Lattice parameters (Å, degrees): 5.1659 5.4269 7.3967 106.65 109.03 97.89
Element x y z (fractional)
Li1 0.2473 0.3971 0.3234
Li2 0.7527 0.6029 0.6766
V1 0.5000 0.0000 0.0000
Cr1 0.5000 0.0000 0.5000
P1 0.1747 0.3582 0.7305
P2 0.8253 0.6418 0.2695
H1 0.1397 0.9396 0.1626
H2 0.8603 0.0604 0.8374
O1 0.1332 0.7500 0.4310
O2 0.1958 0.6553 0.8409
O3 0.2242 0.2051 0.8802
O4 0.3378 0.0502 0.2275
O5 0.3857 0.3371 0.6193
O6 0.6143 0.6629 0.3807
O7 0.6622 0.9498 0.7725
O8 0.7758 0.7949 0.1198
O9 0.8042 0.3447 0.1591
O10 0.8668 0.2500 0.5690

Output
- Crystal system: triclinic

## x
A plane-wave DFT calculation with PBE with a Hubbard U was carried out for a geometry-optimized Li2VCrP2H2O10 structure.

Lattice parameters (Å, degrees): 5.1680 7.3818 10.6540 104.49 97.04 108.95
Element x y z (fractional)
Li1 0.0482 0.1233 0.3009
Li2 0.4513 0.3745 0.1980
Li3 0.5487 0.6255 0.8020
Li4 0.9518 0.8767 0.6991
V1 0.0000 0.5000 0.0000
V2 0.5000 0.5000 0.5000
Cr1 0.0000 0.0000 0.0000
Cr2 0.5000 0.0000 0.5000
P1 0.0022 0.4471 0.6803
P2 0.4956 0.0510 0.8197
P3 0.5044 0.9490 0.1803
P4 0.9978 0.5529 0.3197
H1 0.1691 0.1877 0.5293
H2 0.3296 0.3073 0.9702
H3 0.6704 0.6927 0.0298
H4 0.8309 0.8123 0.4707
O1 0.1255 0.7795 0.3982
O2 0.1314 0.4843 0.8279
O3 0.1882 0.2975 0.0255
O4 0.2174 0.4501 0.3300
O5 0.2427 0.9453 0.8742
O6 0.2554 0.5537 0.6268
O7 0.2835 0.0501 0.1695
O8 0.3154 0.1988 0.4765
O9 0.3658 0.0114 0.6717
O10 0.3764 0.7215 0.1023
O11 0.6236 0.2785 0.8977
O12 0.6342 0.9886 0.3283
O13 0.6846 0.8012 0.5235
O14 0.7165 0.9499 0.8305
O15 0.7446 0.4463 0.3732
O16 0.7573 0.0547 0.1258
O17 0.7826 0.5499 0.6700
O18 0.8118 0.7025 0.9745
O19 0.8686 0.5157 0.1721
O20 0.8745 0.2205 0.6018

Output
- Crystal system: triclinic

The most stable of them is w.

## w
A plane-wave DFT calculation with PBE with a Hubbard U was carried out for a geometry-optimized CrP2H16N3O10 structure.

Lattice parameters (Å, degrees): 7.9916 10.2046 15.4045 90.00 104.48 90.00
Element x y z (fractional)
Cr1 0.1556 0.1896 0.4320
Cr2 0.1556 0.3104 0.9320
Cr3 0.8444 0.6896 0.0680
Cr4 0.8444 0.8104 0.5680
P1 0.1487 0.6127 0.6744
P2 0.1487 0.8873 0.1744
P3 0.1914 0.7227 0.5041
P4 0.1914 0.7773 0.0041
P5 0.8086 0.2227 0.9959
P6 0.8086 0.2773 0.4959
P7 0.8513 0.1127 0.8256
P8 0.8513 0.3873 0.3256
H1 0.0089 0.0634 0.1089
H2 0.0089 0.4366 0.6089
H3 0.0252 0.0262 0.5944
H4 0.0252 0.4738 0.0944
H5 0.0795 0.5570 0.1915
H6 0.0795 0.9430 0.6915
H7 0.1022 0.5296 0.8367
H8 0.1022 0.9704 0.3367
H9 0.2613 0.5907 0.3513
H10 0.2613 0.9093 0.8513
H11 0.2794 0.1633 0.0729
H12 0.2794 0.3367 0.5729
H13 0.2816 0.0721 0.9856
H14 0.2816 0.4279 0.4856
H15 0.2979 0.6978 0.2870
H16 0.2979 0.8022 0.7870
H17 0.3058 0.2325 0.2969
H18 0.3058 0.2675 0.7969
H19 0.3119 0.5390 0.0058
H20 0.3119 0.9610 0.5058
H21 0.3290 0.0732 0.5860
H22 0.3290 0.4268 0.0860
H23 0.3470 0.0802 0.3320
H24 0.3470 0.4198 0.8320
H25 0.3678 0.0265 0.7333
H26 0.3678 0.4735 0.2333
H27 0.4366 0.1873 0.0212
H28 0.4366 0.3127 0.5212
H29 0.4589 0.2001 0.3908
H30 0.4589 0.2999 0.8908
H31 0.4851 0.6148 0.7904
H32 0.4851 0.8852 0.2904
H33 0.5149 0.1148 0.7096
H34 0.5149 0.3852 0.2096
H35 0.5411 0.7001 0.1092
H36 0.5411 0.7999 0.6092
H37 0.5634 0.6873 0.4788
H38 0.5634 0.8127 0.9788
H39 0.6322 0.5265 0.7667
H40 0.6322 0.9735 0.2667
H41 0.6530 0.5802 0.1680
H42 0.6530 0.9198 0.6680
H43 0.6710 0.5732 0.9140
H44 0.6710 0.9268 0.4140
H45 0.6881 0.0390 0.4942
H46 0.6881 0.4610 0.9942
H47 0.6942 0.7325 0.2031
H48 0.6942 0.7675 0.7031
H49 0.7021 0.1978 0.2130
H50 0.7021 0.3022 0.7130
H51 0.7184 0.5721 0.5144
H52 0.7184 0.9279 0.0144
H53 0.7206 0.6633 0.4271
H54 0.7206 0.8367 0.9271
H55 0.7387 0.0907 0.1487
H56 0.7387 0.4093 0.6487
H57 0.8978 0.0296 0.6633
H58 0.8978 0.4704 0.1633
H59 0.9205 0.0570 0.3085
H60 0.9205 0.4430 0.8085
H61 0.9748 0.5262 0.9056
H62 0.9748 0.9738 0.4056
H63 0.9911 0.5634 0.3911
H64 0.9911 0.9366 0.8911
N1 0.0214 0.0301 0.3616
N2 0.0214 0.4699 0.8616
N3 0.3078 0.1653 0.0116
N4 0.3078 0.3347 0.5116
N5 0.3373 0.1746 0.3530
N6 0.3373 0.3254 0.8530
N7 0.6627 0.6746 0.1470
N8 0.6627 0.8254 0.6470
N9 0.6922 0.6653 0.4884
N10 0.6922 0.8347 0.9884
N11 0.9786 0.5301 0.1384
N12 0.9786 0.9699 0.6384
O1 0.0207 0.7021 0.9954
O2 0.0207 0.7979 0.4954
O3 0.0297 0.1770 0.8447
O4 0.0297 0.3230 0.3447
O5 0.1285 0.0378 0.1514
O6 0.1285 0.4622 0.6514
O7 0.1653 0.5968 0.4475
O8 0.1653 0.9032 0.9475
O9 0.2576 0.6767 0.6102
O10 0.2576 0.8233 0.1102
O11 0.2599 0.6289 0.7691
O12 0.2599 0.8711 0.2691
O13 0.2937 0.0572 0.5189
O14 0.2937 0.4428 0.0189
O15 0.3013 0.6014 0.2959
O16 0.3013 0.8986 0.7959
O17 0.3390 0.6917 0.9918
O18 0.3390 0.8083 0.4918
O19 0.3883 0.0979 0.6933
O20 0.3883 0.4021 0.1933
O21 0.6117 0.5979 0.8067
O22 0.6117 0.9021 0.3067
O23 0.6610 0.1917 0.5082
O24 0.6610 0.3083 0.0082
O25 0.6987 0.1014 0.2041
O26 0.6987 0.3986 0.7041
O27 0.7063 0.5572 0.9811
O28 0.7063 0.9428 0.4811
O29 0.7401 0.1289 0.7309
O30 0.7401 0.3711 0.2309
O31 0.7424 0.1767 0.8898
O32 0.7424 0.3233 0.3898
O33 0.8347 0.0968 0.0525
O34 0.8347 0.4032 0.5525
O35 0.8715 0.5378 0.3486
O36 0.8715 0.9622 0.8486
O37 0.9703 0.6770 0.6553
O38 0.9703 0.8230 0.1553
O39 0.9793 0.2021 0.5046
O40 0.9793 0.2979 0.0046

Output
- Crystal system: monoclinic

## x
A plane-wave DFT calculation with PBE with a Hubbard U was carried out for a geometry-optimized CrP2H16N3O10 structure.

Lattice parameters (Å, degrees): 8.4387 10.9338 15.5710 90.00 102.77 90.00
Element x y z (fractional)
Cr1 0.1333 0.1933 0.4233
Cr2 0.1333 0.3067 0.9233
Cr3 0.8667 0.6933 0.0767
Cr4 0.8667 0.8067 0.5767
P1 0.1289 0.5824 0.6635
P2 0.1289 0.9176 0.1635
P3 0.1393 0.7357 0.9350
P4 0.1393 0.7643 0.4350
P5 0.8607 0.2357 0.5650
P6 0.8607 0.2643 0.0650
P7 0.8711 0.0824 0.8365
P8 0.8711 0.4176 0.3365
H1 0.0594 0.5121 0.0882
H2 0.0592 0.5150 0.8456
H3 0.0592 0.9850 0.3456
H4 0.0594 0.9879 0.5882
H5 0.1403 0.5872 0.2202
H6 0.1403 0.9128 0.7202
H7 0.2142 0.5969 0.3771
H8 0.2142 0.9031 0.8771
H9 0.2613 0.1731 0.0623
H10 0.2613 0.3269 0.5623
H11 0.2613 0.5978 0.5566
H12 0.2613 0.9022 0.0566
H13 0.2653 0.0816 0.9783
H14 0.2653 0.4184 0.4783
H15 0.2753 0.2420 0.2928
H16 0.2753 0.2580 0.7928
H17 0.2768 0.6828 0.2707
H18 0.2768 0.8172 0.7707
H19 0.2947 0.0491 0.7125
H20 0.2947 0.4509 0.2125
H21 0.2991 0.0926 0.5783
H22 0.2991 0.4074 0.0783
H23 0.2998 0.5094 0.0024
H24 0.2998 0.9906 0.5024
H25 0.3212 0.0946 0.3267
H26 0.3212 0.4054 0.8267
H27 0.3279 0.7103 0.0580
H28 0.3279 0.7897 0.5580
H29 0.4094 0.1870 0.0087
H30 0.4094 0.3130 0.5087
H31 0.4562 0.1062 0.6986
H32 0.4562 0.3938 0.1986
H33 0.5438 0.6062 0.8014
H34 0.5438 0.8938 0.3014
H35 0.5906 0.6870 0.4913
H36 0.5906 0.8130 0.9913
H37 0.6721 0.2103 0.4420
H38 0.6721 0.2897 0.9420
H39 0.6788 0.5946 0.1733
H40 0.6788 0.9054 0.6733
H41 0.7002 0.0094 0.4976
H42 0.7002 0.4906 0.9976
H43 0.7009 0.5926 0.9217
H44 0.7009 0.9074 0.4217
H45 0.7053 0.5491 0.7875
H46 0.7053 0.9509 0.2875
H47 0.7232 0.1828 0.2293
H48 0.7232 0.3172 0.7293
H49 0.7247 0.7420 0.2072
H50 0.7247 0.7580 0.7072
H51 0.7347 0.5816 0.5217
H52 0.7347 0.9184 0.0217
H53 0.7387 0.0978 0.9434
H54 0.7387 0.4022 0.4434
H55 0.7387 0.6731 0.4377
H56 0.7387 0.8269 0.9377
H57 0.7858 0.0969 0.1229
H58 0.7858 0.4031 0.6229
H59 0.8597 0.0872 0.2798
H60 0.8597 0.4128 0.7798
H61 0.9406 0.0121 0.4118
H62 0.9408 0.0150 0.6544
H63 0.9408 0.4850 0.1544
H64 0.9406 0.4879 0.9118
N1 0.0093 0.5534 0.1351
N2 0.0093 0.9466 0.6351
N3 0.2664 0.1773 0.3392
N4 0.2664 0.3227 0.8392
N5 0.2884 0.1687 0.0014
N6 0.2884 0.3313 0.5014
N7 0.7116 0.6687 0.4986
N8 0.7116 0.8313 0.9986
N9 0.7336 0.6773 0.1608
N10 0.7336 0.8227 0.6608
N11 0.9907 0.0534 0.3649
N12 0.9907 0.4466 0.8649
O1 0.0096 0.7284 0.9912
O2 0.0096 0.7716 0.4912
O3 0.0118 0.1737 0.8467
O4 0.0118 0.3263 0.3467
O5 0.1971 0.6171 0.4390
O6 0.1971 0.8829 0.9390
O7 0.2283 0.6132 0.7688
O8 0.2283 0.8868 0.2688
O9 0.2391 0.5984 0.2762
O10 0.2391 0.9016 0.7762
O11 0.2759 0.6308 0.6171
O12 0.2759 0.8692 0.1171
O13 0.2835 0.0788 0.5121
O14 0.2835 0.4212 0.0121
O15 0.3089 0.6746 0.9984
O16 0.3089 0.8254 0.4984
O17 0.3342 0.1190 0.6828
O18 0.3342 0.3810 0.1828
O19 0.3732 0.5444 0.7932
O20 0.3732 0.9556 0.2932
O21 0.6268 0.0444 0.7068
O22 0.6268 0.4556 0.2068
O23 0.6658 0.6190 0.8172
O24 0.6658 0.8810 0.3172
O25 0.6911 0.1746 0.5016
O26 0.6911 0.3254 0.0016
O27 0.7165 0.5788 0.9879
O28 0.7165 0.9212 0.4879
O29 0.7241 0.1308 0.8829
O30 0.7241 0.3692 0.3829
O31 0.7609 0.0984 0.2238
O32 0.7609 0.4016 0.7238
O33 0.7717 0.1132 0.7312
O34 0.7717 0.3868 0.2312
O35 0.8029 0.1171 0.0610
O36 0.8029 0.3829 0.5610
O37 0.9882 0.6737 0.6533
O38 0.9882 0.8263 0.1533
O39 0.9904 0.2284 0.5088
O40 0.9904 0.2716 0.0088

Output
- Crystal system: monoclinic

The most stable of them is w.